Material: KPO4
Method: DFT, PBE
State: optimized geometry

Calculated values
The calculation puts the formation energy at -2021 meV/atom.

```
KPO4
1.0
5.242 0.000 0.000
0.000 5.621 0.000
-0.991 0.000 7.287
K P O
2 2 8
Cartesian
0.803 1.405 1.722
3.448 4.216 5.565
0.691 1.405 5.533
3.560 4.216 1.754
-0.285 1.405 4.323
0.445 0.157 6.400
0.445 2.653 6.400
2.178 4.216 2.442
2.073 1.405 4.845
3.806 2.968 0.887
3.806 5.464 0.887
4.536 4.216 2.964
```


Material: BaTa2N4
Method: DFT, PBE
State: optimized geometry

Calculated values
The calculation puts the formation energy at -1284 meV/atom.

```
BaTa2N4
1.0
11.314 0.000 0.000
0.000 11.314 0.000
0.000 0.000 11.314
Ba Ta N
12 24 48
Cartesian
0.000 0.000 0.000
0.000 5.657 5.657
1.366 7.023 9.948
1.366 9.948 4.291
4.291 1.366 9.948
4.291 4.291 4.291
5.657 0.000 5.657
5.657 5.657 0.000
7.023 7.023 7.023
7.023 9.948 1.366
9.948 1.366 7.023
9.948 4.291 1.366
1.227 2.336 3.947
1.227 3.321 9.604
1.711 6.884 2.336
1.711 10.087 7.993
2.336 1.711 6.884
2.336 3.947 1.227
3.321 7.368 6.884
3.321 9.604 1.227
3.947 1.227 2.336
3.947 4.430 7.993
4.430 7.993 3.947
4.430 8.978 9.604
6.884 2.336 1.711
6.884 3.321 7.368
7.368 6.884 3.321
7.368 10.087 8.978
7.993 1.711 10.087
7.993 3.947 4.430
8.978 7.368 10.087
8.978 9.604 4.430
9.604 1.227 3.321
9.604 4.430 8.978
10.087 7.993 1.711
10.087 8.978 7.368
0.187 0.915 3.063
0.187 4.742 8.720
0.915 2.594 5.844
0.915 3.063 0.187
1.554 1.603 8.666
1.554 4.054 3.009
1.603 8.305 7.211
1.603 8.666 1.554
2.594 5.844 0.915
2.594 11.127 6.572
2.648 7.211 4.054
2.648 9.760 9.711
3.009 1.554 4.054
3.009 4.103 9.711
3.063 0.187 0.915
3.063 5.470 6.572
4.054 2.648 7.211
4.054 3.009 1.554
4.103 7.260 8.666
4.103 9.711 3.009
4.742 8.251 5.844
4.742 8.720 0.187
5.470 6.572 3.063
5.470 10.399 8.720
5.844 0.915 2.594
5.844 4.742 8.251
6.572 2.594 11.127
6.572 3.063 5.470
7.211 1.603 8.305
7.211 4.054 2.648
7.260 8.305 9.760
7.260 8.666 4.103
8.251 5.844 4.742
8.251 11.127 10.399
8.305 7.211 1.603
8.305 9.760 7.260
8.666 1.554 1.603
8.666 4.103 7.260
8.720 0.187 4.742
8.720 5.470 10.399
9.711 2.648 9.760
9.711 3.009 4.103
9.760 7.260 8.305
9.760 9.711 2.648
10.399 8.251 11.127
10.399 8.720 5.470
11.127 6.572 2.594
11.127 10.399 8.251
```